1.
## K2H6Pt (r²SCAN)

Data for crystalline K2H6Pt at its relaxed geometry.

Cell: 5.7417 5.7417 5.7417 Å, 60.00 60.00 60.00°
Sites, in units of the cell vectors:
K 0.2500 0.2500 0.2500
K 0.7500 0.7500 0.7500
H 0.2021 0.2021 0.7979
H 0.2021 0.7979 0.2021
H 0.2021 0.7979 0.7979
H 0.7979 0.2021 0.2021
H 0.7979 0.2021 0.7979
H 0.7979 0.7979 0.2021
Pt 0.0000 0.0000 0.0000

Properties
**DFT total energy**: -9.843 eV/atom
**Energy of formation from the pure elements**: -0.482 eV/atom
**Calculated density**: 3.47 g/cm3

=====

2.
## LiZn2Pt (r²SCAN)

Data for crystalline LiZn2Pt at its relaxed geometry.

Cell: 4.2700 4.2700 4.2700 Å, 60.00 60.00 60.00°
Sites, in units of the cell vectors:
Li 0.0000 0.0000 0.0000
Zn 0.2500 0.2500 0.2500
Zn 0.7500 0.7500 0.7500
Pt 0.5000 0.5000 0.5000

Properties
**DFT total energy**: -18.526 eV/atom
**Energy of formation from the pure elements**: -0.602 eV/atom
**Calculated density**: 10.04 g/cm3

=====

3.
## NaIO4 (r²SCAN)

Data for crystalline NaIO4 at its relaxed geometry.

Cell: 6.9690 6.9690 6.9690 Å, 135.34 135.34 65.00°
Sites, in units of the cell vectors:
Na 0.3750 0.1250 0.2500
Na 0.6250 0.8750 0.7500
I 0.1250 0.3750 0.7500
I 0.8750 0.6250 0.2500
O 0.0539 0.2203 0.3599
O 0.1939 0.5539 0.3336
O 0.2797 0.1397 0.8336
O 0.3603 0.6939 0.1401
O 0.6397 0.3061 0.8599
O 0.7203 0.8603 0.1664
O 0.8061 0.4461 0.6664
O 0.9461 0.7797 0.6401

Properties
**DFT total energy**: -9.406 eV/atom
**Energy of formation from the pure elements**: -0.737 eV/atom
**Calculated density**: 4.31 g/cm3

=====

4.
## Pr2Ni12As7 (r²SCAN)

Data for crystalline Pr2Ni12As7 at its relaxed geometry.

Cell: 9.3389 9.3389 3.8914 Å, 90.00 90.00 120.00°
Sites, in units of the cell vectors:
Pr 0.0000 0.0000 0.0000
Pr 0.3333 0.6667 0.5000
Ni 0.0397 0.7554 0.5000
Ni 0.0999 0.3918 0.0000
Ni 0.2446 0.2842 0.5000
Ni 0.2919 0.9001 0.0000
Ni 0.3899 0.2041 0.0000
Ni 0.5586 0.1302 0.5000
Ni 0.5716 0.4414 0.5000
Ni 0.6082 0.7081 0.0000
Ni 0.7158 0.9603 0.5000
Ni 0.7959 0.1858 0.0000
Ni 0.8142 0.6101 0.0000
Ni 0.8698 0.4284 0.5000
As 0.0677 0.6268 0.0000
As 0.2677 0.0341 0.5000
As 0.3732 0.4409 0.0000
As 0.5591 0.9323 0.0000
As 0.6667 0.3333 0.0000
As 0.7664 0.7323 0.5000
As 0.9659 0.2336 0.5000

Properties
**DFT total energy**: -15.086 eV/atom
**Energy of formation from the pure elements**: -0.537 eV/atom
**Calculated density**: 8.53 g/cm3

=====

5.
## Mo2RuSe4 (r²SCAN)

Data for crystalline Mo2RuSe4 at its relaxed geometry.

Cell: 6.7060 6.7128 6.8114 Å, 91.98 94.46 93.88°
Sites, in units of the cell vectors:
Mo 0.0843 0.2627 0.4476
Mo 0.2637 0.9582 0.5910
Mo 0.7363 0.0418 0.4090
Mo 0.9157 0.7373 0.5524
Ru 0.0504 0.9108 0.2375
Ru 0.9496 0.0892 0.7625
Se 0.1228 0.7842 0.8830
Se 0.2310 0.6309 0.3814
Se 0.2771 0.2862 0.7834
Se 0.3697 0.1268 0.2711
Se 0.6303 0.8732 0.7289
Se 0.7229 0.7138 0.2166
Se 0.7690 0.3691 0.6186
Se 0.8772 0.2158 0.1170

Properties
**DFT total energy**: -19.930 eV/atom
**Energy of formation from the pure elements**: -0.671 eV/atom
**Calculated density**: 6.63 g/cm3

=====

6.
## NaGe3P3 (r²SCAN)

Data for crystalline NaGe3P3 at its relaxed geometry.

Cell: 3.6284 8.4056 10.4240 Å, 90.00 90.00 90.00°
Sites, in units of the cell vectors:
Na 0.0000 0.1333 0.0000
Na 0.0000 0.8667 0.5000
Ge 0.0000 0.2075 0.7137
Ge 0.0000 0.4991 0.6462
Ge 0.0000 0.5009 0.1462
Ge 0.0000 0.7925 0.2137
Ge 0.5000 0.3170 0.4124
Ge 0.5000 0.6830 0.9124
P 0.0000 0.2717 0.2768
P 0.0000 0.7283 0.7768
P 0.5000 0.1304 0.5765
P 0.5000 0.4330 0.0093
P 0.5000 0.5670 0.5093
P 0.5000 0.8696 0.0765

Properties
**DFT total energy**: -10.524 eV/atom
**Energy of formation from the pure elements**: -0.211 eV/atom
**Calculated density**: 3.49 g/cm3

=====

7.
## TeO2 (r²SCAN)

Data for crystalline TeO2 at its relaxed geometry.

Cell: 4.4073 4.8710 8.7285 Å, 90.00 90.00 90.00°
Sites, in units of the cell vectors:
Te 0.1232 0.0299 0.3977
Te 0.3768 0.9701 0.8977
Te 0.6232 0.4701 0.6023
Te 0.8768 0.5299 0.1023
O 0.1719 0.2426 0.2226
O 0.2284 0.3575 0.5391
O 0.2716 0.6425 0.0391
O 0.3281 0.7574 0.7226
O 0.6719 0.2574 0.7774
O 0.7284 0.1425 0.4609
O 0.7716 0.8575 0.9609
O 0.8281 0.7426 0.2774

Properties
**DFT total energy**: -13.557 eV/atom
**Energy of formation from the pure elements**: -1.103 eV/atom
**Calculated density**: 5.66 g/cm3

=====

8.
## MgHg3 (r²SCAN)

Data for crystalline MgHg3 at its relaxed geometry.

Cell: 3.4518 5.0835 5.2120 Å, 90.00 90.00 90.00°
Sites, in units of the cell vectors:
Mg 0.0000 0.0000 0.0000
Hg 0.0000 0.5000 0.6717
Hg 0.5000 0.0000 0.5027
Hg 0.5000 0.5000 0.1586

Properties
**DFT total energy**: -38.122 eV/atom
**Energy of formation from the pure elements**: -0.054 eV/atom
**Calculated density**: 11.37 g/cm3

=====

9.
## LaNd3 (r²SCAN)

Data for crystalline LaNd3 at its relaxed geometry.

Cell: 6.4031 6.4031 6.4031 Å, 131.50 131.50 71.02°
Sites, in units of the cell vectors:
La 0.0000 0.0000 0.0000
Nd 0.2500 0.7500 0.5000
Nd 0.5000 0.5000 0.0000
Nd 0.7500 0.2500 0.5000

Properties
**DFT total energy**: -29.477 eV/atom
**Energy of formation from the pure elements**: 0.023 eV/atom
**Calculated density**: 6.58 g/cm3
**E above lowest polymorph**: 0.0 meV per atom

=====

10.
## Al3Ru2 (r²SCAN)

Data for crystalline Al3Ru2 at its relaxed geometry.

Cell: 7.4673 7.4673 7.4673 Å, 156.21 156.21 33.89°
Sites, in units of the cell vectors:
Al 0.0000 0.0000 0.0000
Al 0.1938 0.1938 0.0000
Al 0.8062 0.8062 0.0000
Ru 0.3941 0.3941 0.0000
Ru 0.6059 0.6059 0.0000

Properties
**DFT total energy**: -14.984 eV/atom
**Energy of formation from the pure elements**: -0.775 eV/atom
**Calculated density**: 6.95 g/cm3

=====

11.
## HfP2O7 (r²SCAN)

Data for crystalline HfP2O7 at its relaxed geometry.

Cell: 5.0236 7.0957 8.4136 Å, 91.71 94.25 105.57°
Sites, in units of the cell vectors:
Hf 0.0000 0.0000 0.0000
Hf 0.5000 0.5000 0.5000
P 0.0015 0.3660 0.7398
P 0.3741 0.7482 0.8113
P 0.6259 0.2518 0.1887
P 0.9985 0.6340 0.2602
O 0.0851 0.8069 0.1582
O 0.1691 0.3291 0.6055
O 0.1884 0.8818 0.8283
O 0.2019 0.5351 0.8573
O 0.2413 0.5607 0.3206
O 0.3730 0.1958 0.0708
O 0.4472 0.7268 0.6413
O 0.5528 0.2732 0.3587
O 0.6270 0.8042 0.9292
O 0.7587 0.4393 0.6794
O 0.7981 0.4649 0.1427
O 0.8116 0.1182 0.1717
O 0.8309 0.6709 0.3945
O 0.9149 0.1931 0.8418

Properties
**DFT total energy**: -13.423 eV/atom
**Energy of formation from the pure elements**: -2.927 eV/atom
**Calculated density**: 4.07 g/cm3
**E above lowest polymorph**: 20.7 meV per atom

=====

12.
## Rb3YbF6 (r²SCAN)

Data for crystalline Rb3YbF6 at its relaxed geometry.

Cell: 6.6773 6.6773 6.6773 Å, 60.00 60.00 60.00°
Sites, in units of the cell vectors:
Rb 0.0000 0.0000 0.0000
Rb 0.2500 0.2500 0.2500
Rb 0.7500 0.7500 0.7500
Yb 0.5000 0.5000 0.5000
F 0.2771 0.2771 0.7229
F 0.2771 0.7229 0.2771
F 0.2771 0.7229 0.7229
F 0.7229 0.2771 0.2771
F 0.7229 0.2771 0.7229
F 0.7229 0.7229 0.2771

Properties
**DFT total energy**: -13.250 eV/atom
**Energy of formation from the pure elements**: -3.542 eV/atom
**Calculated density**: 4.29 g/cm3

=====

Copy entry 11 word for word.
## HfP2O7 (r²SCAN)

Data for crystalline HfP2O7 at its relaxed geometry.

Cell: 5.0236 7.0957 8.4136 Å, 91.71 94.25 105.57°
Sites, in units of the cell vectors:
Hf 0.0000 0.0000 0.0000
Hf 0.5000 0.5000 0.5000
P 0.0015 0.3660 0.7398
P 0.3741 0.7482 0.8113
P 0.6259 0.2518 0.1887
P 0.9985 0.6340 0.2602
O 0.0851 0.8069 0.1582
O 0.1691 0.3291 0.6055
O 0.1884 0.8818 0.8283
O 0.2019 0.5351 0.8573
O 0.2413 0.5607 0.3206
O 0.3730 0.1958 0.0708
O 0.4472 0.7268 0.6413
O 0.5528 0.2732 0.3587
O 0.6270 0.8042 0.9292
O 0.7587 0.4393 0.6794
O 0.7981 0.4649 0.1427
O 0.8116 0.1182 0.1717
O 0.8309 0.6709 0.3945
O 0.9149 0.1931 0.8418

Properties
**DFT total energy**: -13.423 eV/atom
**Energy of formation from the pure elements**: -2.927 eV/atom
**Calculated density**: 4.07 g/cm3
**E above lowest polymorph**: 20.7 meV per atom